(1)
Below is a geometry-optimized LiDySe2 structure, with properties calculated at the PBE level.

POSCAR file:
```
LiDySe2
1.0
0.626 2.034 -3.468
0.626 -2.034 -3.468
-5.983 0.000 -3.468
Li Dy Se
1 1 2
direct
0.500 0.500 0.500
0.000 0.000 0.000
0.249 0.249 0.253
0.751 0.751 0.747
```


(2)
Below is a geometry-optimized BaLiAlF6 structure, with properties calculated at the PBE level.

POSCAR file:
```
BaLiAlF6
1.0
-6.550 5.932 -5.332
1.601 -2.374 -4.608
-6.162 -6.004 0.890
Ba Li Al F
4 4 4 24
direct
0.687 0.297 0.996
0.187 0.703 0.504
0.313 0.703 0.004
0.813 0.297 0.496
0.586 0.761 0.675
0.086 0.239 0.825
0.414 0.239 0.325
0.914 0.761 0.175
0.912 0.762 0.769
0.412 0.238 0.731
0.088 0.238 0.231
0.588 0.762 0.269
0.751 0.612 0.740
0.251 0.388 0.760
0.249 0.388 0.260
0.749 0.612 0.240
0.898 0.669 0.968
0.398 0.331 0.532
0.102 0.331 0.032
0.602 0.669 0.468
0.076 0.890 0.793
0.576 0.110 0.707
0.924 0.110 0.207
0.424 0.890 0.293
0.911 0.830 0.559
0.411 0.170 0.941
0.089 0.170 0.441
0.589 0.830 0.059
0.842 0.062 0.802
0.342 0.938 0.698
0.158 0.938 0.198
0.658 0.062 0.302
0.990 0.471 0.709
0.490 0.529 0.791
0.010 0.529 0.291
0.510 0.471 0.209
```

Results
magnetic moment = 0.0 Bohr magnetons per cell


The following energy relative to the elements values (in eV per atom) correspond, in order, to the records above: -1.9286 -3.8596.